1.
Entry from Materials Project: crystalline Te3Pt2 at its relaxed geometry (PBE).

Results
uncorrected energy = -4.694 eV per atom
DFT formation energy = -379.9 meV/atom
SG = No. 12
density = 10.23 Mg/m³
relative energy among the computed polymorphs = 0.0000 eV/atom

Lattice parameters (Å, degrees): 4.0595 4.0595 17.7299 83.65 83.65 59.97
Closest atoms and distances in Å follow each position.
Atoms (fractional coordinates):
1 Te 0.2345 0.2345 0.2707  3 Pt 2.73
2 Pt 0.3470 0.3470 0.9579  3 Te 2.64, 3 Pt 2.77
3 Te 0.7655 0.7655 0.7293  3 Pt 2.73
4 Te 0.0362 0.0362 0.8888  3 Pt 2.64
5 Te 0.9638 0.9638 0.1112  3 Pt 2.64
6 Te 0.8512 0.8512 0.4271  3 Pt 2.71
7 Pt 0.6530 0.6530 0.0421  3 Te 2.64, 3 Pt 2.77
8 Te 0.1488 0.1488 0.5729  3 Pt 2.71
9 Pt 0.4577 0.4577 0.6501  6 Te 2.71-2.73
10 Pt 0.5423 0.5423 0.3499  6 Te 2.71-2.73



2.
Entry from Materials Project: crystalline BaSrBiSbO6 at its relaxed geometry (PBE).

Results
uncorrected energy = -6.173 eV per atom
DFT formation energy = -2454.1 meV/atom
SG = No. 2
density = 6.85 Mg/m³
relative energy among the computed polymorphs = 0.0000 eV/atom

Lattice parameters (Å, degrees): 6.0525 6.0868 8.5733 89.68 90.41 89.86
Closest atoms and distances in Å follow each position.
Atoms (fractional coordinates):
1 Ba 0.0053 0.9725 0.7499  6 O 2.68-2.95
2 O 0.9136 0.5076 0.7299  1 Sb 2.04
3 Bi 0.5000 0.0000 0.5000  6 O 2.35-2.37
4 Bi 0.0000 0.5000 0.0000  6 O 2.33-2.38
5 Ba 0.9947 0.0275 0.2501  6 O 2.68-2.95
6 O 0.6877 0.2725 0.0436  1 Sb 2.05
7 O 0.7329 0.3056 0.4546  1 Sb 2.04
8 O 0.1978 0.2362 0.5402  1 Sb 2.03
9 O 0.2357 0.2002 0.9675  1 Sb 2.03
10 O 0.4358 0.9643 0.2309  1 Sb 2.03
11 Sr 0.4920 0.4634 0.7521  4 O 2.57-2.64
12 O 0.5642 0.0357 0.7691  1 Sb 2.03
13 O 0.8022 0.7638 0.4598  1 Sb 2.03
14 Sb 0.5000 0.0000 0.0000  6 O 2.03-2.05
15 O 0.0864 0.4924 0.2701  1 Sb 2.04
16 O 0.7643 0.7998 0.0325  1 Sb 2.03
17 Sb 0.0000 0.5000 0.5000  6 O 2.03-2.04
18 O 0.3123 0.7275 0.9564  1 Sb 2.05
19 O 0.2671 0.6944 0.5454  1 Sb 2.04
20 Sr 0.5080 0.5366 0.2479  4 O 2.57-2.64



3.
Entry from Materials Project: crystalline SrNb8O14 at its relaxed geometry (PBE).

Results
uncorrected energy = -9.035 eV per atom
DFT formation energy = -2854.3 meV/atom
SG = No. 55
density = 5.97 Mg/m³

Lattice parameters (Å, degrees): 6.0208 9.3788 10.3996 90.00 90.00 90.00
Closest atoms and distances in Å follow each position.
Atoms (fractional coordinates):
1 O 0.7457 0.4951 0.2466  3 Nb 2.04-2.16
2 O 0.7456 0.7603 0.4136  3 Nb 2.08-2.14
3 O 0.0000 0.0000 0.5000  2 Nb 2.02
4 O 0.0000 0.5000 0.5000  4 Nb 2.15
5 O 0.2544 0.2397 0.5864  3 Nb 2.08-2.14
6 Nb 0.7317 0.3747 0.4232  5 O 2.06-2.19
7 Nb 0.7317 0.1253 0.9232  5 O 2.06-2.19
8 O 0.5000 0.7633 0.6514  3 Nb 2.06-2.21
9 Nb 0.0000 0.1163 0.6636  6 O 1.98-2.08
10 O 0.2543 0.0049 0.7466  3 Nb 2.04-2.16
11 Sr 0.5000 0.5000 0.0000  12 O 2.72-3.01
12 O 0.7456 0.2603 0.0864  3 Nb 2.08-2.14
13 Nb 0.0000 0.8837 0.3364  6 O 1.98-2.08
14 O 0.7456 0.2397 0.5864  3 Nb 2.08-2.14
15 O 0.7456 0.7397 0.9136  3 Nb 2.08-2.14
16 Nb 0.5000 0.3801 0.6646  5 O 2.10-2.21
17 O 0.5000 0.2633 0.8486  3 Nb 2.06-2.21
18 Nb 0.7317 0.6253 0.5768  5 O 2.06-2.19
19 Nb 0.2683 0.8747 0.0768  5 O 2.06-2.19
20 O 0.0000 0.5000 0.0000  2 Nb 2.02
21 Sr 0.5000 0.0000 0.5000  12 O 2.72-3.01
22 Nb 0.2683 0.3747 0.4232  5 O 2.06-2.19
23 O 0.7457 0.9951 0.2534  3 Nb 2.04-2.16
24 O 0.7457 0.5049 0.7534  3 Nb 2.04-2.16
25 Nb 0.7317 0.8747 0.0768  5 O 2.06-2.19
26 O 0.2543 0.4951 0.2466  3 Nb 2.04-2.16
27 O 0.2544 0.7397 0.9136  3 Nb 2.08-2.14
28 O 0.7457 0.0049 0.7466  3 Nb 2.04-2.16
29 Nb 0.5000 0.6199 0.3354  5 O 2.10-2.21
30 Nb 0.0000 0.6163 0.8364  6 O 1.98-2.08
31 O 0.5000 0.7367 0.1514  3 Nb 2.06-2.21
32 Nb 0.2683 0.6253 0.5768  5 O 2.06-2.19
33 O 0.2543 0.5049 0.7534  3 Nb 2.04-2.16
34 O 0.0000 0.7656 0.1789  3 Nb 1.98-2.19
35 O 0.2544 0.7603 0.4136  3 Nb 2.08-2.14
36 O 0.0000 0.0000 0.0000  4 Nb 2.15
37 Nb 0.5000 0.1199 0.1646  5 O 2.10-2.21
38 O 0.0000 0.7344 0.6789  3 Nb 1.98-2.19
39 O 0.0000 0.2656 0.3211  3 Nb 1.98-2.19
40 Nb 0.5000 0.8801 0.8354  5 O 2.10-2.21
41 O 0.2543 0.9951 0.2534  3 Nb 2.04-2.16
42 Nb 0.0000 0.3837 0.1636  6 O 1.98-2.08
43 O 0.0000 0.2344 0.8211  3 Nb 1.98-2.19
44 O 0.2544 0.2603 0.0864  3 Nb 2.08-2.14
45 Nb 0.2683 0.1253 0.9232  5 O 2.06-2.19
46 O 0.5000 0.2367 0.3486  3 Nb 2.06-2.21



4.
Entry from Materials Project: crystalline Si at its relaxed geometry (PBE).

Results
uncorrected energy = -5.330 eV per atom
DFT formation energy = 95.5 meV/atom
SG = No. 63
density = 1.97 Mg/m³
relative energy among the computed polymorphs = 0.0955 eV/atom

Lattice parameters (Å, degrees): 10.5898 10.5898 10.0342 90.00 90.00 105.08
Closest atoms and distances in Å follow each position.
Atoms (fractional coordinates):
1 Si 0.8401 0.0716 0.2500  4 Si 2.33-2.35
2 Si 0.8005 0.4485 0.6265  4 Si 2.38-2.48
3 Si 0.9424 0.8009 0.7500  4 Si 2.35-2.38
4 Si 0.4208 0.4208 0.8689  4 Si 2.33-2.39
5 Si 0.8009 0.9424 0.7500  4 Si 2.35-2.38
6 Si 0.3315 0.0936 0.0590  4 Si 2.35-2.40
7 Si 0.6009 0.3991 0.0000  4 Si 2.38-2.40
8 Si 0.0576 0.1991 0.2500  4 Si 2.35-2.38
9 Si 0.7519 0.7519 0.4391  4 Si 2.32-2.38
10 Si 0.2736 0.8893 0.5592  4 Si 2.35-2.41
11 Si 0.7519 0.7519 0.0609  4 Si 2.32-2.38
12 Si 0.8005 0.4485 0.8735  4 Si 2.38-2.48
13 Si 0.2736 0.8893 0.9408  4 Si 2.35-2.41
14 Si 0.8893 0.2736 0.5592  4 Si 2.35-2.41
15 Si 0.6009 0.3991 0.5000  4 Si 2.38-2.40
16 Si 0.4485 0.8005 0.6265  4 Si 2.38-2.48
17 Si 0.1599 0.9284 0.7500  4 Si 2.33-2.35
18 Si 0.1991 0.0576 0.2500  4 Si 2.35-2.38
19 Si 0.6685 0.9064 0.5590  4 Si 2.35-2.40
20 Si 0.0716 0.8401 0.2500  4 Si 2.33-2.35
21 Si 0.4485 0.8005 0.8735  4 Si 2.38-2.48
22 Si 0.1107 0.7264 0.4408  4 Si 2.35-2.41
23 Si 0.8562 0.8562 0.2500  4 Si 2.32-2.33
24 Si 0.8893 0.2736 0.9408  4 Si 2.35-2.41
25 Si 0.2481 0.2481 0.5609  4 Si 2.32-2.38
26 Si 0.9064 0.6685 0.9410  4 Si 2.35-2.40
27 Si 0.5515 0.1995 0.3735  4 Si 2.38-2.48
28 Si 0.1995 0.5515 0.1265  4 Si 2.38-2.48
29 Si 0.1995 0.5515 0.3735  4 Si 2.38-2.48
30 Si 0.0936 0.3315 0.0590  4 Si 2.35-2.40
31 Si 0.2481 0.2481 0.9391  4 Si 2.32-2.38
32 Si 0.5515 0.1995 0.1265  4 Si 2.38-2.48
33 Si 0.7264 0.1107 0.4408  4 Si 2.35-2.41
34 Si 0.9284 0.1599 0.7500  4 Si 2.33-2.35
35 Si 0.0936 0.3315 0.4410  4 Si 2.35-2.40
36 Si 0.9064 0.6685 0.5590  4 Si 2.35-2.40
37 Si 0.6685 0.9064 0.9410  4 Si 2.35-2.40
38 Si 0.5792 0.5792 0.3689  4 Si 2.33-2.39
39 Si 0.1438 0.1438 0.7500  4 Si 2.32-2.33
40 Si 0.5792 0.5792 0.1311  4 Si 2.33-2.39
41 Si 0.4208 0.4208 0.6311  4 Si 2.33-2.39
42 Si 0.3991 0.6009 0.0000  4 Si 2.38-2.40
43 Si 0.1107 0.7264 0.0592  4 Si 2.35-2.41
44 Si 0.3315 0.0936 0.4410  4 Si 2.35-2.40
45 Si 0.3991 0.6009 0.5000  4 Si 2.38-2.40
46 Si 0.7264 0.1107 0.0592  4 Si 2.35-2.41



5.
Entry from Materials Project: crystalline NaMgTi2BiO6 at its relaxed geometry (PBE).

Results
uncorrected energy = -6.808 eV per atom
DFT formation energy = -2429.3 meV/atom
SG = No. 146
density = 5.24 Mg/m³
relative energy among the computed polymorphs = 0.2009 eV/atom

Lattice parameters (Å, degrees): 6.2078 6.2078 6.2078 53.14 53.14 53.14
Closest atoms and distances in Å follow each position.
Atoms (fractional coordinates):
1 O 0.8169 0.6853 0.2445  1 Mg 1.95
2 Na 0.2722 0.2722 0.2722  3 O 2.44
3 O 0.1862 0.3051 0.7405  2 Ti 1.91-1.93
4 O 0.2445 0.8169 0.6853  1 Mg 1.95
5 O 0.7405 0.1862 0.3051  2 Ti 1.91-1.93
6 Ti 0.0149 0.0149 0.0149  3 O 1.93
7 O 0.6853 0.2445 0.8169  1 Mg 1.95
8 Bi 0.8224 0.8224 0.8224  3 O 2.20
9 O 0.3051 0.7405 0.1862  2 Ti 1.91-1.93
10 Mg 0.6464 0.6464 0.6464  3 O 1.95
11 Ti 0.4743 0.4743 0.4743  3 O 1.91



6.
Entry from Materials Project: crystalline TmGaO3 at its relaxed geometry (PBE).

Results
uncorrected energy = -7.262 eV per atom
DFT formation energy = -3204.7 meV/atom
SG = No. 185
density = 7.77 Mg/m³

Lattice parameters (Å, degrees): 6.0295 6.0295 11.6697 90.00 90.00 120.00
Closest atoms and distances in Å follow each position.
Atoms (fractional coordinates):
1 O 0.6667 0.3333 0.5218  3 Ga 2.02
2 O 0.0000 0.3064 0.1649  1 Ga 1.92
3 Ga 0.3342 0.0000 0.0008  5 O 1.91-2.03
4 O 0.6936 0.6936 0.1649  1 Ga 1.92
5 Ga 0.6658 0.0000 0.5008  5 O 1.91-2.03
6 Tm 0.0000 0.0000 0.2751  7 O 2.25-2.35
7 O 0.3064 0.3064 0.6649  1 Ga 1.92
8 Ga 0.6658 0.6658 0.0008  5 O 1.91-2.03
9 O 0.0000 0.6936 0.6649  1 Ga 1.92
10 O 0.3599 0.0000 0.8381  1 Ga 1.91
11 Ga 0.3342 0.3342 0.5008  5 O 1.91-2.03
12 Ga 0.0000 0.3342 0.0008  5 O 1.91-2.03
13 Ga 0.0000 0.6658 0.5008  5 O 1.91-2.03
14 O 0.0000 0.3599 0.8381  1 Ga 1.91
15 O 0.6401 0.6401 0.8381  1 Ga 1.91
16 Tm 0.6667 0.3333 0.7337  7 O 2.24-2.47
17 O 0.0000 0.6401 0.3381  1 Ga 1.91
18 O 0.6667 0.3333 0.0218  3 Ga 2.02
19 Tm 0.3333 0.6667 0.7337  7 O 2.24-2.47
20 O 0.3599 0.3599 0.3381  1 Ga 1.91
21 O 0.0000 0.0000 0.4764  3 Ga 2.03
22 O 0.3064 0.0000 0.1649  1 Ga 1.92
23 O 0.6401 0.0000 0.3381  1 Ga 1.91
24 Tm 0.3333 0.6667 0.2337  7 O 2.24-2.47
25 O 0.3333 0.6667 0.5218  3 Ga 2.02
26 O 0.6936 0.0000 0.6649  1 Ga 1.92
27 O 0.3333 0.6667 0.0218  3 Ga 2.02
28 Tm 0.6667 0.3333 0.2337  7 O 2.24-2.47
29 O 0.0000 0.0000 0.9764  3 Ga 2.03
30 Tm 0.0000 0.0000 0.7751  7 O 2.25-2.35



7.
Entry from Materials Project: crystalline Ba2MgUO6 at its relaxed geometry (PBE).

Results
uncorrected energy = -7.690 eV per atom
DFT formation energy = -3460.3 meV/atom
SG = No. 225
density = 6.90 Mg/m³

Lattice parameters (Å, degrees): 5.9950 5.9950 5.9950 60.00 60.00 60.00
Closest atoms and distances in Å follow each position.
Atoms (fractional coordinates):
1 O 0.2527 0.7473 0.2527  1 U 2.10, 1 Mg 2.14
2 Mg 0.0000 0.0000 0.0000  6 O 2.14
3 O 0.7473 0.2527 0.2527  1 U 2.10, 1 Mg 2.14
4 O 0.2527 0.7473 0.7473  1 U 2.10, 1 Mg 2.14
5 Ba 0.7500 0.7500 0.7500  12 O 3.00
6 O 0.2527 0.2527 0.7473  1 U 2.10, 1 Mg 2.14
7 Ba 0.2500 0.2500 0.2500  12 O 3.00
8 O 0.7473 0.7473 0.2527  1 U 2.10, 1 Mg 2.14
9 O 0.7473 0.2527 0.7473  1 U 2.10, 1 Mg 2.14
10 U 0.5000 0.5000 0.5000  6 O 2.10



- Number 6 is which compound?
  TmGaO3